{"formula": "Zr6CoI14", "functional": "GGA-PBE", "state": "relaxed", "dft_energy_ev_per_atom": -4.704, "total_magnetization_mub_per_atom": 0.047, "mass_density_g_cm3": 4.869, "sg": "Cmce", "lattice_angstrom": [[-8.8267, -3.3974, -5.7183], [1.8846, -9.8178, 4.7130], [-7.9149, 3.3812, 10.2085]], "species": ["Zr", "Zr", "Zr", "Zr", "Zr", "Zr", "Zr", "Zr", "Zr", "Zr", "Zr", "Zr", "Co", "Co", "I", "I", "I", "I", "I", "I", "I", "I", "I", "I", "I", "I", "I", "I", "I", "I", "I", "I", "I", "I", "I", "I", "I", "I", "I", "I", "I", "I"], "fractional_positions": [[0.9548, 0.1766, 0.1135], [0.0452, 0.8234, 0.8865], [0.5452, 0.3234, 0.6135], [0.6766, 0.4548, 0.3865], [0.4548, 0.6766, 0.3865], [0.3234, 0.5452, 0.6135], [0.8234, 0.0452, 0.8865], [0.1766, 0.9548, 0.1135], [0.3622, 0.3622, 0.3986], [0.6378, 0.6378, 0.6014], [0.1378, 0.1378, 0.8986], [0.8622, 0.8622, 0.1014], [0.0000, 0.0000, 0.0000], [0.5000, 0.5000, 0.5000], [0.2862, 0.5349, 0.2545], [0.7138, 0.4651, 0.7455], [0.2138, 0.9651, 0.7545], [0.0349, 0.7862, 0.2455], [0.7862, 0.0349, 0.2455], [0.9651, 0.2138, 0.7545], [0.4651, 0.7138, 0.7455], [0.5349, 0.2862, 0.2545], [0.1140, 0.3605, 0.0095], [0.8860, 0.6395, 0.9905], [0.3860, 0.1395, 0.5095], [0.8605, 0.6140, 0.4905], [0.6140, 0.8605, 0.4905], [0.1395, 0.3860, 0.5095], [0.6395, 0.8860, 0.9905], [0.3605, 0.1140, 0.0095], [0.8967, 0.3967, 0.2500], [0.1033, 0.6033, 0.7500], [0.6033, 0.1033, 0.7500], [0.3967, 0.8967, 0.2500], [0.7501, 0.2499, 0.0000], [0.2499, 0.7501, 0.0000], [0.7499, 0.2501, 0.5000], [0.2501, 0.7499, 0.5000], [0.1509, 0.1509, 0.2618], [0.8491, 0.8491, 0.7382], [0.3491, 0.3491, 0.7618], [0.6509, 0.6509, 0.2382]]}

{"formula": "In2Co", "functional": "GGA-PBE", "state": "relaxed", "dft_energy_ev_per_atom": -4.171, "mass_density_g_cm3": 8.578, "sg": "Fddd", "lattice_angstrom": [[0.0000, 4.7519, 8.9433], [2.6289, 0.0000, 8.9433], [2.6289, 4.7519, 0.0000]], "species": ["In", "In", "In", "In", "In", "In", "In", "In", "Co", "Co", "Co", "Co"], "fractional_positions": [[0.0910, 0.4090, 0.0910], [0.4090, 0.0910, 0.4090], [0.1590, 0.8410, 0.1590], [0.8410, 0.1590, 0.8410], [0.8393, 0.8393, 0.6607], [0.6607, 0.6607, 0.8393], [0.4107, 0.4107, 0.5893], [0.5893, 0.5893, 0.4107], [0.3783, 0.3783, 0.1217], [0.1217, 0.1217, 0.3783], [0.8717, 0.8717, 0.1283], [0.1283, 0.1283, 0.8717]]}

{"formula": "In3Co", "functional": "GGA-PBE", "state": "relaxed", "dft_energy_ev_per_atom": -3.854, "mass_density_g_cm3": 7.878, "sg": "P4_2/mnm", "lattice_angstrom": [[-2.6810, 5.1627, -3.7095], [1.0155, -3.6264, -5.7809], [-6.4988, -2.8917, 0.6724]], "species": ["In", "In", "In", "In", "In", "In", "In", "In", "In", "In", "In", "In", "Co", "Co", "Co", "Co"], "fractional_positions": [[0.0000, 0.5000, 0.0000], [0.0000, 0.5000, 0.5000], [0.5000, 0.0000, 0.5000], [0.5000, 0.0000, 0.0000], [0.1542, 0.1542, 0.2559], [0.3458, 0.6542, 0.7559], [0.6542, 0.3458, 0.7559], [0.6542, 0.3458, 0.2441], [0.3458, 0.6542, 0.2441], [0.8458, 0.8458, 0.2559], [0.1542, 0.1542, 0.7441], [0.8458, 0.8458, 0.7441], [0.3490, 0.3490, 0.0000], [0.1510, 0.8490, 0.5000], [0.8490, 0.1510, 0.5000], [0.6510, 0.6510, 0.0000]]}